[1]
VASP calculation (r2SCAN) on a relaxed TePdSe crystal.

Lattice parameters (Å, degrees): 3.927 3.927 5.029 90.00 90.00 120.00
Fractional positions:
Te 0.000 0.000 0.731
Pd 0.333 0.667 0.009
Se 0.667 0.333 0.261

- formation enthalpy at 0 K (eV/atom) = -0.33
- space group = P3m1 (156)


[2]
VASP calculation (r2SCAN) on a relaxed TlPd2Se3 crystal.

Lattice parameters (Å, degrees): 7.419 7.419 5.951 90.00 90.00 120.00
Fractional positions:
Tl 0.667 0.333 0.643
Tl 0.333 0.667 0.357
Pd 0.000 0.000 0.000
Pd 0.000 0.500 0.000
Pd 0.500 0.000 0.000
Pd 0.500 0.500 0.000
Se 0.831 0.169 0.214
Se 0.831 0.661 0.214
Se 0.339 0.169 0.214
Se 0.661 0.831 0.786
Se 0.169 0.831 0.786
Se 0.169 0.339 0.786

- formation enthalpy at 0 K (eV/atom) = -0.46
- space group = P-3m1 (164)